# 1
Hf9BMo4 (PBE-GGA, optimized geometry); ρ = 12.30 Mg/m³; V = 19.29 A^3/atom; spin magnetization = 0.001 μB/f.u.; calculated formation energy = -0.1800 eV per atom
1.0
8.559 0.000 0.000
-4.280 7.413 0.000
0.000 0.000 8.513
Hf B Mo
18 2 8
Direct
0.081 0.540 0.250
0.204 0.407 0.555
0.204 0.407 0.945
0.204 0.796 0.555
0.204 0.796 0.945
0.407 0.204 0.055
0.407 0.204 0.445
0.460 0.540 0.250
0.460 0.919 0.250
0.540 0.081 0.750
0.540 0.460 0.750
0.593 0.796 0.555
0.593 0.796 0.945
0.796 0.204 0.055
0.796 0.204 0.445
0.796 0.593 0.055
0.796 0.593 0.445
0.919 0.460 0.750
0.333 0.667 0.750
0.667 0.333 0.250
0.000 0.000 0.000
0.000 0.000 0.500
0.111 0.222 0.250
0.111 0.889 0.250
0.222 0.111 0.750
0.778 0.889 0.250
0.889 0.111 0.750
0.889 0.778 0.750



# 2
La2SiS5 (PBE-GGA, optimized geometry); ρ = 4.09 Mg/m³; V = 23.65 A^3/atom; E above lowest polymorph = 0.00 eV/f.u.; calculated formation energy = -1.9721 eV per atom
1.0
7.656 0.000 0.000
0.000 12.698 0.000
-1.567 0.000 7.786
La Si S
8 4 20
Direct
0.164 0.165 0.133
0.164 0.335 0.633
0.239 0.595 0.045
0.239 0.905 0.545
0.761 0.095 0.455
0.761 0.405 0.955
0.836 0.665 0.367
0.836 0.835 0.867
0.330 0.617 0.596
0.330 0.883 0.096
0.670 0.117 0.904
0.670 0.383 0.404
0.127 0.702 0.694
0.127 0.798 0.194
0.138 0.121 0.496
0.138 0.379 0.996
0.175 0.530 0.389
0.175 0.970 0.889
0.420 0.001 0.282
0.420 0.499 0.782
0.477 0.227 0.949
0.477 0.273 0.449
0.523 0.727 0.551
0.523 0.773 0.051
0.580 0.501 0.218
0.580 0.999 0.718
0.825 0.030 0.111
0.825 0.470 0.611
0.862 0.621 0.004
0.862 0.879 0.504
0.873 0.202 0.806
0.873 0.298 0.306



# 3
TbGaNi (PBE-GGA, optimized geometry); ρ = 8.79 Mg/m³; V = 18.09 A^3/atom; spin magnetization = 0.000 μB/f.u.; calculated formation energy = -0.5948 eV per atom
1.0
4.866 -2.094 0.000
4.866 2.094 0.000
-4.273 0.000 5.326
Tb Ga Ni
2 2 2
Direct
0.057 0.057 0.313
0.943 0.943 0.687
0.324 0.324 0.902
0.676 0.676 0.098
0.343 0.343 0.298
0.657 0.657 0.702



# 4
Ba5B3BrO9 (PBE-GGA, optimized geometry); ρ = 4.79 Mg/m³; V = 18.17 A^3/atom; spin magnetization = 0.000 μB/f.u.; calculated formation energy = -3.0968 eV per atom
1.0
5.325 -7.541 0.000
5.325 7.541 0.000
0.000 0.000 8.146
Ba B Br O
10 6 2 18
Direct
0.138 0.862 0.750
0.140 0.860 0.250
0.230 0.493 0.066
0.258 0.258 0.500
0.493 0.230 0.934
0.507 0.770 0.434
0.742 0.742 0.000
0.770 0.507 0.566
0.860 0.140 0.750
0.862 0.138 0.250
0.098 0.517 0.470
0.125 0.125 0.000
0.483 0.902 0.030
0.517 0.098 0.530
0.875 0.875 0.500
0.902 0.483 0.970
0.444 0.556 0.750
0.556 0.444 0.250
0.006 0.630 0.010
0.007 0.007 0.500
0.068 0.650 0.514
0.187 0.188 0.150
0.188 0.187 0.850
0.231 0.529 0.381
0.350 0.932 0.986
0.370 0.994 0.490
0.471 0.769 0.119
0.529 0.231 0.619
0.630 0.006 0.990
0.650 0.068 0.486
0.769 0.471 0.881
0.812 0.813 0.350
0.813 0.812 0.650
0.932 0.350 0.014
0.993 0.993 0.000
0.994 0.370 0.510



# 5
Sr3LaTa3O12 (PBE-GGA, optimized geometry); ρ = 7.35 Mg/m³; V = 13.52 A^3/atom; spin magnetization = 0.001 μB/f.u.; calculated formation energy = -3.5050 eV per atom
1.0
2.844 1.642 9.170
-2.844 1.642 9.170
0.000 -3.283 9.170
Sr La Ta O
3 1 3 12
Direct
0.000 0.000 0.000
0.148 0.148 0.148
0.572 0.572 0.572
0.430 0.430 0.430
0.286 0.286 0.286
0.709 0.709 0.709
0.863 0.863 0.863
0.077 0.077 0.580
0.077 0.580 0.077
0.170 0.659 0.659
0.403 0.911 0.911
0.493 0.493 0.993
0.493 0.993 0.493
0.580 0.077 0.077
0.659 0.170 0.659
0.659 0.659 0.170
0.911 0.403 0.911
0.911 0.911 0.403
0.993 0.493 0.493



# 6
TlHg3 (PBE-GGA, optimized geometry); ρ = 11.50 Mg/m³; V = 29.10 A^3/atom; calculated formation energy = -0.0367 eV per atom
1.0
4.882 0.000 0.000
0.000 4.882 0.000
0.000 0.000 4.882
Tl Hg
1 3
Direct
0.000 0.000 0.000
0.000 0.500 0.500
0.500 0.000 0.500
0.500 0.500 0.000



# 7
CsCeMg14O16 (PBE-GGA, optimized geometry); ρ = 3.87 Mg/m³; V = 11.66 A^3/atom; spin magnetization = 0.547 μB/f.u.; E above lowest polymorph = 0.76 eV/f.u.; calculated formation energy = -2.6631 eV per atom
1.0
4.638 0.000 0.000
0.000 8.911 0.000
0.000 0.000 9.029
Cs Ce Mg O
1 1 14 16
Direct
0.000 0.000 0.000
0.000 0.000 0.500
0.000 0.269 0.243
0.000 0.269 0.757
0.000 0.500 0.000
0.000 0.500 0.500
0.000 0.731 0.243
0.000 0.731 0.757
0.500 0.000 0.238
0.500 0.000 0.762
0.500 0.263 0.000
0.500 0.268 0.500
0.500 0.500 0.247
0.500 0.500 0.753
0.500 0.732 0.500
0.500 0.737 0.000
0.000 0.000 0.271
0.000 0.000 0.729
0.000 0.269 0.500
0.000 0.288 0.000
0.000 0.500 0.258
0.000 0.500 0.742
0.000 0.712 0.000
0.000 0.731 0.500
0.500 0.000 0.000
0.500 0.000 0.500
0.500 0.251 0.250
0.500 0.251 0.750
0.500 0.500 0.000
0.500 0.500 0.500
0.500 0.749 0.250
0.500 0.749 0.750



# 8
Na10Zr4In4Si7S5O48 (PBE-GGA, optimized geometry); ρ = 3.23 Mg/m³; V = 14.37 A^3/atom; spin magnetization = 0.000 μB/f.u.; calculated formation energy = -2.6138 eV per atom
1.0
9.148 0.000 0.000
-0.036 15.929 0.000
-0.045 -0.073 23.070
Na Zr In Si S O
30 12 12 21 15 144
Direct
0.000 0.000 0.000
0.001 0.333 0.336
0.005 0.973 0.339
0.007 0.307 0.670
0.052 0.305 0.014
0.162 0.831 0.753
0.181 0.490 0.427
0.190 0.150 0.089
0.194 0.160 0.584
0.204 0.490 0.920
0.215 0.832 0.254
0.368 0.303 0.170
0.374 0.000 0.503
0.375 0.666 0.165
0.500 0.500 0.000
0.502 0.166 0.665
0.508 0.805 0.671
0.552 0.471 0.683
0.553 0.806 0.014
0.555 0.140 0.351
0.676 0.988 0.424
0.680 0.328 0.758
0.690 0.651 0.087
0.703 0.336 0.255
0.703 0.989 0.920
0.706 0.655 0.591
0.828 0.806 0.519
0.867 0.806 0.170
0.873 0.167 0.169
0.876 0.500 0.504
0.175 0.142 0.240
0.176 0.477 0.573
0.176 0.813 0.906
0.190 0.139 0.740
0.199 0.479 0.073
0.202 0.810 0.408
0.675 0.314 0.906
0.678 0.979 0.573
0.686 0.640 0.240
0.698 0.312 0.409
0.698 0.644 0.739
0.698 0.978 0.073
0.179 0.478 0.275
0.180 0.148 0.942
0.186 0.812 0.612
0.189 0.149 0.445
0.189 0.816 0.109
0.198 0.475 0.776
0.680 0.648 0.942
0.681 0.976 0.277
0.688 0.313 0.607
0.689 0.315 0.110
0.695 0.647 0.444
0.700 0.973 0.777
0.035 0.998 0.846
0.037 0.332 0.177
0.044 0.667 0.509
0.332 0.667 0.010
0.335 0.999 0.345
0.339 0.333 0.676
0.392 0.310 0.012
0.396 0.978 0.679
0.481 0.478 0.178
0.485 0.810 0.513
0.536 0.500 0.844
0.537 0.832 0.176
0.539 0.165 0.510
0.832 0.167 0.010
0.841 0.500 0.346
0.841 0.832 0.675
0.892 0.145 0.343
0.892 0.810 0.012
0.895 0.479 0.677
0.985 0.977 0.179
0.988 0.310 0.512
0.037 0.296 0.843
0.040 0.627 0.177
0.041 0.959 0.508
0.335 0.626 0.678
0.336 0.961 0.008
0.337 0.296 0.341
0.394 0.646 0.342
0.482 0.146 0.843
0.537 0.796 0.843
0.538 0.462 0.510
0.539 0.127 0.177
0.835 0.461 0.009
0.836 0.127 0.678
0.839 0.794 0.343
0.982 0.646 0.844
0.001 0.128 0.396
0.001 0.463 0.732
0.002 0.802 0.346
0.005 0.829 0.958
0.011 0.153 0.007
0.015 0.815 0.671
0.019 0.485 0.341
0.059 0.731 0.563
0.060 0.381 0.238
0.067 0.575 0.125
0.069 0.907 0.455
0.070 0.047 0.907
0.075 0.245 0.791
0.075 0.724 0.847
0.076 0.571 0.838
0.081 0.066 0.180
0.081 0.401 0.512
0.082 0.892 0.172
0.090 0.229 0.506
0.097 0.258 0.897
0.100 0.381 0.840
0.101 0.590 0.230
0.106 0.043 0.504
0.106 0.711 0.173
0.108 0.052 0.791
0.108 0.383 0.121
0.108 0.715 0.451
0.109 0.920 0.560
0.116 0.905 0.848
0.121 0.574 0.514
0.129 0.241 0.179
0.245 0.908 0.348
0.252 0.242 0.684
0.256 0.573 0.014
0.258 0.051 0.291
0.261 0.381 0.621
0.267 0.926 0.061
0.268 0.720 0.955
0.270 0.255 0.392
0.271 0.380 0.338
0.274 0.046 0.003
0.274 0.590 0.731
0.280 0.231 0.002
0.281 0.713 0.673
0.288 0.397 0.014
0.298 0.066 0.684
0.299 0.573 0.337
0.299 0.893 0.673
0.304 0.725 0.345
0.307 0.907 0.957
0.308 0.245 0.288
0.308 0.574 0.626
0.313 0.053 0.405
0.315 0.722 0.070
0.333 0.395 0.732
0.357 0.492 0.841
0.363 0.146 0.507
0.363 0.811 0.172
0.374 0.828 0.457
0.375 0.467 0.233
0.375 0.800 0.847
0.378 0.139 0.181
0.378 0.471 0.514
0.381 0.497 0.119
0.390 0.139 0.895
0.390 0.158 0.789
0.396 0.800 0.572
0.479 0.300 0.073
0.486 0.638 0.394
0.486 0.657 0.289
0.497 0.965 0.014
0.497 0.998 0.620
0.498 0.301 0.347
0.501 0.632 0.682
0.503 0.969 0.734
0.504 0.330 0.958
0.511 0.653 0.007
0.512 0.992 0.339
0.515 0.316 0.670
0.565 0.889 0.232
0.568 0.216 0.570
0.571 0.074 0.126
0.572 0.408 0.459
0.572 0.549 0.905
0.574 0.225 0.846
0.576 0.072 0.838
0.576 0.745 0.792
0.579 0.393 0.173
0.579 0.566 0.183
0.587 0.898 0.514
0.597 0.732 0.503
0.598 0.758 0.897
0.599 0.091 0.231
0.599 0.882 0.841
0.601 0.215 0.452
0.601 0.427 0.564
0.606 0.550 0.787
0.607 0.211 0.172
0.608 0.546 0.504
0.608 0.877 0.117
0.617 0.406 0.847
0.621 0.071 0.513
0.627 0.740 0.182
0.744 0.741 0.682
0.756 0.073 0.014
0.764 0.405 0.347
0.766 0.877 0.617
0.767 0.220 0.955
0.767 0.426 0.061
0.771 0.212 0.673
0.772 0.553 0.290
0.773 0.089 0.730
0.773 0.546 0.003
0.779 0.881 0.341
0.780 0.731 0.002
0.780 0.755 0.396
0.785 0.063 0.337
0.785 0.562 0.683
0.787 0.396 0.673
0.788 0.230 0.349
0.790 0.897 0.014
0.801 0.745 0.290
0.807 0.407 0.957
0.808 0.550 0.406
0.809 0.075 0.625
0.814 0.886 0.733
0.815 0.223 0.069
0.857 0.992 0.841
0.862 0.313 0.172
0.865 0.652 0.506
0.875 0.301 0.846
0.876 0.993 0.122
0.877 0.327 0.456
0.877 0.638 0.182
0.880 0.963 0.513
0.888 0.657 0.791
0.889 0.965 0.237
0.893 0.638 0.896
0.897 0.304 0.572
0.979 0.799 0.073
0.990 0.165 0.283
0.990 0.493 0.618
0.997 0.465 0.014
0.998 0.139 0.683



Look up the calculated formation energy of the fifth one.
-3.5050 eV per atom



The highest V belongs to which entry?
TlHg3



calculated formation energy of number 4 (Ba5B3BrO9)?
-3.0968 eV per atom



Look up the ρ of the seventh one.
3.87 Mg/m³